A plane-wave DFT calculation with PBE with a Hubbard U was carried out for a geometry-optimized Co3P4O16 structure.

Geometry as extended XYZ:
```
23
Lattice="5.118 0.000 0.000 0.288 7.758 0.000 0.574 0.656 7.783" Properties=species:S:1:pos:R:3 pbc="T T T"
O 3.182 1.619 6.090
P 2.954 2.950 5.369
O 4.824 7.243 7.315
O 1.526 2.914 4.730
O 2.928 6.957 1.842
O 5.323 5.434 5.942
Co 3.794 5.572 7.102
Co 2.591 0.245 0.134
O 4.009 3.088 4.267
O 3.756 1.600 0.862
O 1.005 1.019 0.512
O 1.992 5.145 3.299
O 0.525 2.960 1.995
O 3.144 4.514 1.099
O 4.869 0.589 2.728
O 2.881 4.142 6.372
P 5.136 1.583 1.578
Co 0.460 4.018 3.663
O 2.222 6.740 7.028
P 3.109 5.514 2.319
O 4.498 5.409 3.020
P 0.861 6.850 6.267
O 0.989 7.775 5.102
```

Summary:
Crystal system ... triclinic
Energy with MP2020 corrections ... -7.190 eV/atom
ΔE to the lowest computed polymorph ... 52 meV per atom
Density ... 2.99 g/cm³
Total moment ... 0.6368 μB per atom
SG ... No. 1